(1)
Below is Ba2NdMoO6 after structural relaxation, with properties calculated at the GGA+U level. Values from VASP.

Calculated values
The value obtained for the formation energy is -27.43 eV per formula unit. The space group is No. 2.

```
&SYSTEM
  ibrav = 0, nat = 10, ntyp = 4
/
ATOMIC_SPECIES
Ba 137.33 Ba.upf
Nd 144.24 Nd.upf
Mo 95.94 Mo.upf
O 16.00 O.upf
CELL_PARAMETERS angstrom
6.059 0.000 0.000
-0.100 6.093 0.000
-2.969 -3.049 4.380
ATOMIC_POSITIONS crystal
Ba 0.248 0.248 0.004
Ba 0.752 0.752 0.996
Nd 0.000 0.500 0.500
Mo 0.500 0.000 0.500
O 0.231 0.196 0.499
O 0.272 0.774 0.967
O 0.306 0.730 0.513
O 0.694 0.270 0.487
O 0.728 0.226 0.033
O 0.769 0.804 0.501
```



(2)
Below is MgCd2Te2Mo2O12 after structural relaxation, with properties calculated at the GGA+U level. Values from VASP.

Calculated values
The value obtained for the formation energy is -34.19 eV per formula unit. The space group is No. 81. Its offset from the most stable computed form is 0.0000 eV/atom.

```
&SYSTEM
  ibrav = 0, nat = 19, ntyp = 5
/
ATOMIC_SPECIES
Mg 24.30 Mg.upf
Cd 112.41 Cd.upf
Te 127.60 Te.upf
Mo 95.94 Mo.upf
O 16.00 O.upf
CELL_PARAMETERS angstrom
5.343 0.000 0.000
0.000 5.343 0.000
0.000 0.000 10.393
ATOMIC_POSITIONS crystal
Mg 0.000 0.000 0.000
Cd 0.000 0.000 0.500
Cd 0.500 0.500 0.500
Te 0.000 0.500 0.730
Te 0.500 0.000 0.270
Mo 0.000 0.500 0.219
Mo 0.500 0.000 0.781
O 0.141 0.264 0.111
O 0.193 0.699 0.613
O 0.235 0.713 0.306
O 0.264 0.859 0.889
O 0.287 0.235 0.694
O 0.301 0.193 0.387
O 0.699 0.807 0.387
O 0.713 0.765 0.694
O 0.736 0.141 0.889
O 0.765 0.287 0.306
O 0.807 0.301 0.613
O 0.859 0.736 0.111
```



(3)
Below is MgMn6O8F4 after structural relaxation, with properties calculated at the GGA+U level. Values from VASP.

Calculated values
The value obtained for the formation energy is -42.01 eV per formula unit. The space group is No. 1. Its offset from the most stable computed form is 0.1024 eV/atom.

```
&SYSTEM
  ibrav = 0, nat = 19, ntyp = 4
/
ATOMIC_SPECIES
Mg 24.30 Mg.upf
Mn 54.94 Mn.upf
O 16.00 O.upf
F 19.00 F.upf
CELL_PARAMETERS angstrom
5.119 0.000 0.000
0.100 5.187 0.000
0.204 0.060 8.802
ATOMIC_POSITIONS crystal
Mg 0.000 0.000 0.000
Mn 0.053 0.489 0.163
Mn 0.074 0.506 0.803
Mn 0.475 0.994 0.647
Mn 0.483 0.002 0.311
Mn 0.489 0.991 0.989
Mn 0.973 0.410 0.493
O 0.186 0.287 0.320
O 0.209 0.318 0.986
O 0.215 0.285 0.646
O 0.278 0.836 0.145
O 0.288 0.844 0.831
O 0.676 0.131 0.478
O 0.707 0.119 0.142
O 0.834 0.612 0.656
F 0.308 0.791 0.471
F 0.745 0.113 0.834
F 0.811 0.627 0.319
F 0.835 0.659 0.988
```



(4)
Below is Ba2LiSmCoCu2O7 after structural relaxation, with properties calculated at the GGA+U level. Values from VASP.

Calculated values
The value obtained for the formation energy is -28.49 eV per formula unit. The space group is No. 25. Its offset from the most stable computed form is 0.0764 eV/atom.

```
&SYSTEM
  ibrav = 0, nat = 14, ntyp = 6
/
ATOMIC_SPECIES
Ba 137.33 Ba.upf
Li 6.94 Li.upf
Sm 150.36 Sm.upf
Co 58.93 Co.upf
Cu 63.55 Cu.upf
O 16.00 O.upf
CELL_PARAMETERS angstrom
3.960 0.000 0.000
0.000 3.975 0.000
0.000 0.000 12.997
ATOMIC_POSITIONS crystal
Ba 0.000 0.000 0.000
Ba 0.000 0.000 0.315
Li 0.000 0.500 0.840
Sm 0.000 0.000 0.598
Co 0.500 0.500 0.132
Cu 0.500 0.500 0.474
Cu 0.500 0.500 0.709
O 0.000 0.500 0.126
O 0.000 0.500 0.480
O 0.000 0.500 0.704
O 0.500 0.000 0.480
O 0.500 0.000 0.711
O 0.500 0.500 0.270
O 0.500 0.500 0.978
```



(5)
Below is CoP4F12 after structural relaxation, with properties calculated at the GGA+U level. Values from VASP.

Calculated values
The value obtained for the formation energy is -42.67 eV per formula unit. The space group is No. 15.

```
&SYSTEM
  ibrav = 0, nat = 34, ntyp = 3
/
ATOMIC_SPECIES
Co 58.93 Co.upf
P 30.97 P.upf
F 19.00 F.upf
CELL_PARAMETERS angstrom
6.798 -3.974 0.000
6.798 3.974 0.000
-6.186 0.000 11.473
ATOMIC_POSITIONS crystal
Co 0.103 0.897 0.750
Co 0.897 0.103 0.250
P 0.070 0.207 0.807
P 0.207 0.070 0.307
P 0.225 0.742 0.602
P 0.258 0.775 0.898
P 0.742 0.225 0.102
P 0.775 0.258 0.398
P 0.793 0.930 0.693
P 0.930 0.793 0.193
F 0.100 0.641 0.484
F 0.140 0.728 0.949
F 0.142 0.612 0.213
F 0.154 0.299 0.941
F 0.185 0.265 0.759
F 0.265 0.185 0.259
F 0.272 0.860 0.551
F 0.299 0.154 0.441
F 0.359 0.900 0.016
F 0.388 0.858 0.287
F 0.435 0.555 0.609
F 0.445 0.565 0.891
F 0.555 0.435 0.109
F 0.565 0.445 0.391
F 0.612 0.142 0.713
F 0.641 0.100 0.984
F 0.701 0.846 0.559
F 0.728 0.140 0.449
F 0.735 0.815 0.741
F 0.815 0.735 0.241
F 0.846 0.701 0.059
F 0.858 0.388 0.787
F 0.860 0.272 0.051
F 0.900 0.359 0.516
```



(6)
Below is Li2Ni3WO8 after structural relaxation, with properties calculated at the GGA+U level. Values from VASP.

Calculated values
The value obtained for the formation energy is -22.99 eV per formula unit. Its offset from the most stable computed form is 0.0249 eV/atom.

```
&SYSTEM
  ibrav = 0, nat = 28, ntyp = 4
/
ATOMIC_SPECIES
Li 6.94 Li.upf
Ni 58.69 Ni.upf
W 183.84 W.upf
O 16.00 O.upf
CELL_PARAMETERS angstrom
0.000 -3.430 4.851
2.971 -5.147 -0.001
9.026 5.212 0.047
ATOMIC_POSITIONS crystal
Li 0.130 0.935 0.195
Li 0.130 0.435 0.695
Li 0.870 0.565 0.305
Li 0.870 0.065 0.805
Ni 0.500 0.500 0.500
Ni 0.500 0.000 0.000
Ni 0.500 0.000 0.500
Ni 0.500 0.500 0.000
Ni 0.000 0.000 0.500
Ni 0.000 0.500 0.000
W 0.500 0.250 0.250
W 0.500 0.750 0.750
O 0.270 0.865 0.405
O 0.270 0.365 0.905
O 0.730 0.635 0.095
O 0.730 0.135 0.595
O 0.724 0.638 0.631
O 0.724 0.138 0.131
O 0.268 0.638 0.631
O 0.268 0.138 0.131
O 0.268 0.094 0.631
O 0.268 0.594 0.130
O 0.732 0.406 0.869
O 0.732 0.906 0.370
O 0.732 0.862 0.869
O 0.732 0.362 0.369
O 0.276 0.862 0.869
O 0.276 0.362 0.369
```



(7)
Below is Co8As3O16 after structural relaxation, with properties calculated at the GGA+U level. Values from VASP.

Calculated values
The value obtained for the formation energy is -39.12 eV per formula unit. The space group is No. 12.

```
&SYSTEM
  ibrav = 0, nat = 27, ntyp = 3
/
ATOMIC_SPECIES
Co 58.93 Co.upf
As 74.92 As.upf
O 16.00 O.upf
CELL_PARAMETERS angstrom
5.237 -3.081 0.000
5.237 3.081 0.000
-3.424 0.000 9.303
ATOMIC_POSITIONS crystal
Co 0.000 0.500 0.000
Co 0.235 0.754 0.745
Co 0.246 0.765 0.255
Co 0.248 0.248 0.733
Co 0.500 0.000 0.000
Co 0.752 0.752 0.267
Co 0.754 0.235 0.745
Co 0.765 0.246 0.255
As 0.311 0.311 0.419
As 0.500 0.500 0.000
As 0.689 0.689 0.581
O 0.133 0.133 0.865
O 0.134 0.604 0.365
O 0.135 0.135 0.368
O 0.174 0.596 0.884
O 0.375 0.375 0.609
O 0.392 0.392 0.117
O 0.396 0.866 0.635
O 0.404 0.826 0.116
O 0.596 0.174 0.884
O 0.604 0.134 0.365
O 0.608 0.608 0.883
O 0.625 0.625 0.391
O 0.826 0.404 0.116
O 0.865 0.865 0.632
O 0.866 0.396 0.635
O 0.867 0.867 0.135
```



(8)
Below is CrP3H17N3O13 after structural relaxation, with properties calculated at the GGA+U level. Values from VASP.

Calculated values
The value obtained for the formation energy is -48.68 eV per formula unit. The space group is No. 14.

```
&SYSTEM
  ibrav = 0, nat = 148, ntyp = 5
/
ATOMIC_SPECIES
Cr 52.00 Cr.upf
P 30.97 P.upf
H 1.01 H.upf
N 14.01 N.upf
O 16.00 O.upf
CELL_PARAMETERS angstrom
9.599 0.000 0.000
0.000 10.841 0.000
-9.023 0.000 13.073
ATOMIC_POSITIONS crystal
Cr 0.000 0.000 0.000
Cr 0.000 0.500 0.500
Cr 0.500 0.000 0.500
Cr 0.500 0.500 0.000
P 0.107 0.099 0.632
P 0.107 0.401 0.132
P 0.142 0.632 0.243
P 0.142 0.868 0.743
P 0.351 0.085 0.860
P 0.351 0.415 0.360
P 0.649 0.585 0.640
P 0.649 0.915 0.140
P 0.858 0.132 0.257
P 0.858 0.368 0.757
P 0.893 0.599 0.868
P 0.893 0.901 0.368
H 0.053 0.032 0.184
H 0.053 0.468 0.684
H 0.114 0.212 0.758
H 0.114 0.288 0.258
H 0.128 0.601 0.680
H 0.128 0.713 0.486
H 0.128 0.787 0.986
H 0.128 0.899 0.180
H 0.144 0.602 0.098
H 0.144 0.898 0.598
H 0.180 0.219 0.051
H 0.180 0.281 0.551
H 0.202 0.113 0.363
H 0.202 0.387 0.863
H 0.226 0.635 0.930
H 0.226 0.865 0.430
H 0.237 0.123 0.996
H 0.237 0.377 0.496
H 0.289 0.662 0.856
H 0.289 0.838 0.356
H 0.292 0.618 0.561
H 0.292 0.882 0.061
H 0.344 0.217 0.441
H 0.344 0.283 0.941
H 0.368 0.060 0.603
H 0.368 0.440 0.103
H 0.398 0.152 0.197
H 0.398 0.348 0.697
H 0.403 0.622 0.402
H 0.403 0.878 0.902
H 0.486 0.249 0.788
H 0.486 0.251 0.288
H 0.486 0.563 0.160
H 0.486 0.937 0.660
H 0.514 0.063 0.340
H 0.514 0.437 0.840
H 0.514 0.749 0.712
H 0.514 0.751 0.212
H 0.597 0.122 0.098
H 0.597 0.378 0.598
H 0.602 0.652 0.303
H 0.602 0.848 0.803
H 0.632 0.560 0.897
H 0.632 0.940 0.397
H 0.656 0.717 0.059
H 0.656 0.783 0.559
H 0.708 0.118 0.939
H 0.708 0.382 0.439
H 0.711 0.162 0.644
H 0.711 0.338 0.144
H 0.763 0.623 0.504
H 0.763 0.877 0.004
H 0.774 0.135 0.570
H 0.774 0.365 0.070
H 0.798 0.613 0.137
H 0.798 0.887 0.637
H 0.820 0.719 0.449
H 0.820 0.781 0.949
H 0.856 0.102 0.402
H 0.856 0.398 0.902
H 0.872 0.101 0.820
H 0.872 0.213 0.014
H 0.872 0.287 0.514
H 0.872 0.399 0.320
H 0.886 0.712 0.742
H 0.886 0.788 0.242
H 0.947 0.532 0.316
H 0.947 0.968 0.816
N 0.120 0.554 0.144
N 0.120 0.946 0.644
N 0.177 0.140 0.752
N 0.177 0.360 0.252
N 0.307 0.566 0.349
N 0.307 0.934 0.849
N 0.693 0.066 0.151
N 0.693 0.434 0.651
N 0.823 0.640 0.748
N 0.823 0.860 0.248
N 0.880 0.054 0.356
N 0.880 0.446 0.856
O 0.018 0.112 0.259
O 0.018 0.388 0.759
O 0.074 0.649 0.938
O 0.074 0.851 0.438
O 0.098 0.516 0.650
O 0.098 0.984 0.150
O 0.163 0.627 0.516
O 0.163 0.873 0.016
O 0.182 0.128 0.034
O 0.182 0.372 0.534
O 0.186 0.735 0.740
O 0.186 0.765 0.240
O 0.218 0.143 0.598
O 0.218 0.357 0.098
O 0.320 0.126 0.425
O 0.320 0.374 0.925
O 0.329 0.636 0.927
O 0.329 0.864 0.427
O 0.354 0.138 0.950
O 0.354 0.362 0.450
O 0.462 0.009 0.611
O 0.462 0.491 0.111
O 0.492 0.611 0.638
O 0.492 0.889 0.138
O 0.494 0.166 0.268
O 0.494 0.334 0.768
O 0.506 0.666 0.232
O 0.506 0.834 0.732
O 0.508 0.111 0.862
O 0.508 0.389 0.362
O 0.538 0.509 0.889
O 0.538 0.991 0.389
O 0.646 0.638 0.550
O 0.646 0.862 0.050
O 0.671 0.136 0.573
O 0.671 0.364 0.073
O 0.680 0.626 0.075
O 0.680 0.874 0.575
O 0.782 0.643 0.902
O 0.782 0.857 0.402
O 0.814 0.235 0.760
O 0.814 0.265 0.260
O 0.818 0.628 0.466
O 0.818 0.872 0.966
O 0.837 0.127 0.984
O 0.837 0.373 0.484
O 0.902 0.016 0.850
O 0.902 0.484 0.350
O 0.926 0.149 0.562
O 0.926 0.351 0.062
O 0.982 0.612 0.241
O 0.982 0.888 0.741
```



(9)
Below is NaV6O11 after structural relaxation, with properties calculated at the GGA+U level. Values from VASP.

Calculated values
The value obtained for the formation energy is -44.17 eV per formula unit. The space group is No. 194. Its offset from the most stable computed form is 0.0165 eV/atom.

```
&SYSTEM
  ibrav = 0, nat = 36, ntyp = 3
/
ATOMIC_SPECIES
Na 22.99 Na.upf
V 50.94 V.upf
O 16.00 O.upf
CELL_PARAMETERS angstrom
5.873 0.000 0.000
-2.936 5.086 0.000
0.000 0.000 13.527
ATOMIC_POSITIONS crystal
Na 0.333 0.667 0.250
Na 0.667 0.333 0.750
V 0.000 0.000 0.149
V 0.000 0.000 0.351
V 0.000 0.000 0.649
V 0.000 0.000 0.851
V 0.000 0.500 0.000
V 0.000 0.500 0.500
V 0.333 0.667 0.750
V 0.500 0.000 0.000
V 0.500 0.000 0.500
V 0.500 0.500 0.000
V 0.500 0.500 0.500
V 0.667 0.333 0.250
O 0.148 0.295 0.750
O 0.148 0.852 0.750
O 0.174 0.349 0.075
O 0.174 0.349 0.425
O 0.174 0.826 0.075
O 0.174 0.826 0.425
O 0.295 0.148 0.250
O 0.333 0.667 0.583
O 0.333 0.667 0.917
O 0.349 0.174 0.575
O 0.349 0.174 0.925
O 0.651 0.826 0.075
O 0.651 0.826 0.425
O 0.667 0.333 0.083
O 0.667 0.333 0.417
O 0.705 0.852 0.750
O 0.826 0.174 0.575
O 0.826 0.174 0.925
O 0.826 0.651 0.575
O 0.826 0.651 0.925
O 0.852 0.148 0.250
O 0.852 0.705 0.250
```



(10)
Below is Ca4Mn3CrO12 after structural relaxation, with properties calculated at the GGA+U level. Values from VASP.

Calculated values
The value obtained for the formation energy is -48.93 eV per formula unit. The space group is No. 123. Its offset from the most stable computed form is 0.0828 eV/atom.

```
&SYSTEM
  ibrav = 0, nat = 20, ntyp = 4
/
ATOMIC_SPECIES
Ca 40.08 Ca.upf
Mn 54.94 Mn.upf
Cr 52.00 Cr.upf
O 16.00 O.upf
CELL_PARAMETERS angstrom
7.587 0.000 0.000
0.000 7.587 0.000
0.000 0.000 3.834
ATOMIC_POSITIONS crystal
Ca 0.249 0.249 0.000
Ca 0.249 0.751 0.000
Ca 0.751 0.249 0.000
Ca 0.751 0.751 0.000
Mn 0.000 0.000 0.500
Mn 0.000 0.500 0.500
Mn 0.500 0.000 0.500
Cr 0.500 0.500 0.500
O 0.000 0.000 0.000
O 0.000 0.250 0.500
O 0.000 0.500 0.000
O 0.000 0.750 0.500
O 0.250 0.000 0.500
O 0.250 0.500 0.500
O 0.500 0.000 0.000
O 0.500 0.250 0.500
O 0.500 0.500 0.000
O 0.500 0.750 0.500
O 0.750 0.000 0.500
O 0.750 0.500 0.500
```